Run 1
The following is a PBE with a Hubbard U calculation of an optimized crystal structure of LiFe4B4O12, from the Materials Project database.

Computed properties:
Spin magnetization in μB/f.u.: 19.00
Crystal system: triclinic

Unit cell a=5.251 b=5.254 c=20.119 alpha=89.10 beta=89.70 gamma=61.12
Atoms (fractional coordinates):
Li 0.000 0.000 0.000
Li 0.324 0.700 0.628
Fe 0.332 0.342 0.240
Fe 0.337 0.322 0.738
Fe 0.649 0.017 0.114
Fe 0.651 0.662 0.990
Fe 0.660 0.670 0.490
Fe 0.665 0.029 0.612
Fe 0.981 0.347 0.365
Fe 0.988 0.352 0.866
B 0.319 0.344 0.991
B 0.320 0.340 0.488
B 0.653 0.004 0.364
B 0.657 0.007 0.865
B 0.662 0.684 0.239
B 0.670 0.670 0.737
B 0.991 0.346 0.113
B 0.997 0.347 0.614
O 0.009 0.084 0.615
O 0.058 0.362 0.465
O 0.081 0.314 0.968
O 0.235 0.375 0.637
O 0.251 0.321 0.138
O 0.307 0.606 0.991
O 0.356 0.578 0.492
O 0.386 0.218 0.338
O 0.392 0.222 0.838
O 0.431 0.638 0.235
O 0.446 0.615 0.726
O 0.537 0.071 0.510
O 0.566 0.089 0.013
O 0.644 0.936 0.718
O 0.649 0.944 0.216
O 0.666 0.745 0.387
O 0.679 0.742 0.885
O 0.748 0.599 0.591
O 0.773 0.617 0.094
O 0.883 0.051 0.367
O 0.884 0.059 0.873
O 0.927 0.471 0.266
O 0.932 0.459 0.765
O 0.958 0.106 0.105

---

Run 2
The following is a PBE with a Hubbard U calculation of an optimized crystal structure of LiFe4B4O12, from the Materials Project database.

Computed properties:
Spin magnetization in μB/f.u.: 19.00
Crystal system: triclinic

Unit cell a=5.343 b=9.018 c=11.337 alpha=113.34 beta=102.76 gamma=90.41
Atoms (fractional coordinates):
Li 0.000 0.000 0.000
Li 0.431 0.150 0.260
Fe 0.190 0.559 0.769
Fe 0.247 0.940 0.532
Fe 0.450 0.498 0.275
Fe 0.507 0.849 0.021
Fe 0.686 0.067 0.780
Fe 0.745 0.436 0.521
Fe 0.941 0.974 0.279
Fe 0.998 0.365 0.036
B 0.191 0.227 0.780
B 0.248 0.600 0.526
B 0.460 0.833 0.283
B 0.482 0.195 0.030
B 0.703 0.728 0.774
B 0.737 0.103 0.527
B 0.943 0.305 0.272
B 0.999 0.691 0.026
O 0.048 0.408 0.228
O 0.062 0.167 0.267
O 0.123 0.495 0.565
O 0.158 0.744 0.535
O 0.192 0.684 0.961
O 0.244 0.878 0.337
O 0.277 0.357 0.765
O 0.309 0.081 0.737
O 0.372 0.339 0.061
O 0.376 0.066 0.044
O 0.464 0.552 0.478
O 0.479 0.719 0.813
O 0.562 0.943 0.240
O 0.569 0.699 0.274
O 0.627 0.013 0.584
O 0.633 0.235 0.517
O 0.715 0.181 0.986
O 0.717 0.335 0.317
O 0.816 0.879 0.800
O 0.817 0.586 0.719
O 0.893 0.561 0.036
O 0.906 0.845 0.080
O 0.953 0.048 0.478
O 0.978 0.228 0.835

---

Here are the energies relative to the best structure, in eV/atom: run 1 0.000; run 2 0.009.

---

Run 1
The following is a PBE with a Hubbard U calculation of an optimized crystal structure of TiFeO4, from the Materials Project database.

Computed properties:
Spin magnetization in μB/f.u.: 4.00
Crystal system: triclinic

Unit cell a=5.522 b=7.612 c=7.730 alpha=104.26 beta=101.71 gamma=110.12
Atoms (fractional coordinates):
Ti 0.000 0.000 0.000
Ti 0.002 0.492 0.002
Ti 0.507 0.751 0.502
Ti 0.518 0.246 0.499
Fe 0.368 0.808 0.881
Fe 0.391 0.312 0.872
Fe 0.874 0.559 0.378
Fe 0.899 0.062 0.370
O 0.069 0.758 0.981
O 0.076 0.259 0.977
O 0.183 0.613 0.282
O 0.191 0.694 0.605
O 0.202 0.113 0.271
O 0.204 0.197 0.600
O 0.309 0.038 0.894
O 0.316 0.558 0.900
O 0.575 0.510 0.477
O 0.586 0.009 0.475
O 0.671 0.858 0.773
O 0.698 0.360 0.768
O 0.698 0.446 0.102
O 0.703 0.948 0.107
O 0.819 0.792 0.399
O 0.823 0.309 0.396

---

Run 2
The following is a PBE with a Hubbard U calculation of an optimized crystal structure of TiFeO4, from the Materials Project database.

Computed properties:
Spin magnetization in μB/f.u.: 4.00
Crystal system: orthorhombic

Unit cell a=5.501 b=5.501 c=5.390 alpha=90.00 beta=90.00 gamma=121.42
Atoms (fractional coordinates):
Ti 0.000 0.500 0.245
Ti 0.500 0.000 0.755
Fe 0.000 0.000 0.000
Fe 0.500 0.500 0.500
O 0.208 0.792 0.000
O 0.214 0.299 0.260
O 0.299 0.214 0.740
O 0.299 0.701 0.500
O 0.701 0.299 0.500
O 0.701 0.786 0.740
O 0.786 0.701 0.260
O 0.792 0.208 0.000

---

Here are the energies relative to the best structure, in eV/atom: run 1 0.000; run 2 0.006.